(1)
Material: K3V5O14
Method: DFT, meta-GGA r2SCAN
State: relaxed

The space group is P31m (No. 157) and the conventional cell measures 8.6752, 8.6752 and 5.0104 Å, with angles of 90.00, 90.00 and 120.00 degrees. Symmetry generates all atoms from K at (0.0000, 0.6083, 0.0000), V at (0.0000, 0.2284, 0.4798), V at (0.3333, 0.6667, 0.4706), O at (0.0000, 0.2468, 0.8010), O at (0.0000, 0.8314, 0.4077), O at (0.1680, 0.4610, 0.3522) and O at (0.3333, 0.6667, 0.7986).

The magnetization comes out at 0.0 μB per cell. Its volume is 14.84 A^3/atom. As for the energy of formation: -2510 meV per atom.

(2)
Material: K2V3O8
Method: DFT, meta-GGA r2SCAN
State: relaxed

The space group is P4bm (No. 100) and the conventional cell measures 8.879, 8.879 and 5.253 Å, with angles of 90.00, 90.00 and 90.00 degrees. Symmetry generates all atoms from K at (0.168, 0.332, 0.000), V at (0.000, 0.000, 0.459), V at (0.134, 0.634, 0.470), O at (0.000, 0.000, 0.767), O at (0.000, 0.500, 0.348), O at (0.086, 0.809, 0.353) and O at (0.131, 0.631, 0.784).

The magnetization comes out at 2.0 μB per cell. Its volume is 15.93 A^3/atom. As for the energy of formation: -2552 meV per atom.

(3)
Material: K2WO4
Method: DFT, meta-GGA r2SCAN
State: relaxed

The space group is C2/m (No. 12) and the conventional cell measures 12.380, 6.101 and 7.538 Å, with angles of 90.00, 115.76 and 90.00 degrees. Symmetry generates all atoms from K at (0.008, 0.000, 0.233), K at (0.155, 0.500, 0.749), W at (0.176, 0.500, 0.228), O at (0.087, 0.500, 0.363), O at (0.142, 0.261, 0.075) and O at (0.166, 0.000, 0.614).

The energy relative to the lowest polymorph listed for this composition comes out at 0 meV per atom. The magnetization comes out at 0.0 μB per cell. Its volume is 18.31 A^3/atom. As for the energy of formation: -2348 meV per atom.

(4)
Material: K2WO4
Method: DFT, meta-GGA r2SCAN
State: relaxed

The space group is P2_1/c (No. 14) and the conventional cell measures 6.227, 8.074 and 12.040 Å, with angles of 90.00, 115.99 and 90.00 degrees. Symmetry generates all atoms from K at (0.003, 0.002, 0.258), K at (0.288, 0.742, 0.587), W at (0.356, 0.249, 0.075), O at (0.239, 0.077, 0.124), O at (0.243, 0.065, 0.610), O at (0.260, 0.238, 0.911) and O at (0.323, 0.749, 0.349).

The energy relative to the lowest polymorph listed for this composition comes out at 17 meV per atom. The magnetization comes out at 0.0 μB per cell. Its volume is 19.43 A^3/atom. As for the energy of formation: -2330 meV per atom.